Entry 1:
A plane-wave DFT calculation with PBE was carried out for Zn2P2H10O11 after structural relaxation.

Cell: 7.6600 7.8433 9.5507 Å, 89.33 88.76 87.93°
Space group P-1 (No. 2)
Symmetry-distinct sites (fractional):
Zn 0.0000 0.0000 0.0000 [1 per cell]
Zn 0.9996 0.4987 0.7511 [2 per cell]
Zn 0.5000 0.5000 0.5000 [1 per cell]
P 0.1295 0.2836 0.4871 [2 per cell]
P 0.2264 0.6153 0.9869 [2 per cell]
H 0.0277 0.8866 0.2747 [2 per cell]
H 0.0338 0.0904 0.2635 [2 per cell]
H 0.2123 0.1199 0.4797 [2 per cell]
H 0.2277 0.2417 0.9365 [2 per cell]
H 0.2473 0.7317 0.6024 [2 per cell]
H 0.3380 0.0730 0.8958 [2 per cell]
H 0.3932 0.5913 0.2452 [2 per cell]
H 0.3992 0.4200 0.7642 [2 per cell]
H 0.3993 0.6710 0.9724 [2 per cell]
H 0.4312 0.8129 0.6409 [2 per cell]
O 0.0066 0.7115 0.6334 [2 per cell]
O 0.0402 0.2912 0.6334 [2 per cell]
O 0.0683 0.9831 0.2153 [2 per cell]
O 0.0969 0.7605 0.9551 [2 per cell]
O 0.2100 0.4724 0.8753 [2 per cell]
O 0.2154 0.5416 0.1374 [2 per cell]
O 0.2471 0.1201 0.9612 [2 per cell]
O 0.2606 0.4211 0.4587 [2 per cell]
O 0.3750 0.7279 0.5839 [2 per cell]
O 0.4929 0.9844 0.7623 [2 per cell]
O 0.4993 0.3797 0.7044 [2 per cell]

Results
Electronic total energy   -130.1 eV/f.u.
Energy relative to the elements   -1.436 eV per atom

=====

Entry 2:
A plane-wave DFT calculation with PBE was carried out for Na7Al10Si14Ag3O48 after structural relaxation.

Cell: 12.1318 12.3438 12.6794 Å, 90.67 90.84 90.01°
Space group P1 (No. 1)
Symmetry-distinct sites (fractional):
Na 0.0000 0.0000 0.0000 [1 per cell]
Na 0.0014 0.7862 0.0328 [1 per cell]
Na 0.1848 0.2005 0.8130 [1 per cell]
Na 0.1921 0.5886 0.8151 [1 per cell]
Na 0.5045 0.3940 0.9580 [1 per cell]
Na 0.8107 0.5878 0.8128 [1 per cell]
Na 0.8166 0.1981 0.8070 [1 per cell]
Al 0.0014 0.2182 0.9765 [1 per cell]
Al 0.0016 0.0233 0.7752 [1 per cell]
Al 0.0023 0.7663 0.7846 [1 per cell]
Al 0.0028 0.5699 0.9797 [1 per cell]
Al 0.2035 0.3956 0.9872 [1 per cell]
Al 0.3602 0.3911 0.7709 [1 per cell]
Al 0.6189 0.3908 0.4165 [1 per cell]
Al 0.6383 0.3907 0.7637 [1 per cell]
Al 0.8003 0.3945 0.9790 [1 per cell]
Al 0.9941 0.2007 0.2212 [1 per cell]
Si 0.1805 0.3951 0.2350 [1 per cell]
Si 0.1827 0.7619 0.5983 [1 per cell]
Si 0.1849 0.0166 0.5942 [1 per cell]
Si 0.3637 0.2077 0.5971 [1 per cell]
Si 0.3641 0.3931 0.4228 [1 per cell]
Si 0.3656 0.5767 0.6041 [1 per cell]
Si 0.6252 0.5798 0.6024 [1 per cell]
Si 0.6290 0.2039 0.5937 [1 per cell]
Si 0.8053 0.3953 0.2245 [1 per cell]
Si 0.8092 0.0179 0.5932 [1 per cell]
Si 0.8121 0.7617 0.5972 [1 per cell]
Si 0.9909 0.0150 0.4159 [1 per cell]
Si 0.9932 0.7592 0.4205 [1 per cell]
Si 0.9971 0.5792 0.2289 [1 per cell]
Ag 0.1817 0.1982 0.4005 [1 per cell]
Ag 0.7908 0.5776 0.4005 [1 per cell]
Ag 0.8041 0.2070 0.3947 [1 per cell]
O 0.9998 0.6819 0.8923 [1 per cell]
O 0.0007 0.6327 0.1131 [1 per cell]
O 0.0016 0.1186 0.8741 [1 per cell]
O 0.0024 0.8977 0.8405 [1 per cell]
O 0.1010 0.5019 0.2543 [1 per cell]
O 0.1008 0.7416 0.4946 [1 per cell]
O 0.1040 0.0374 0.4881 [1 per cell]
O 0.1086 0.2841 0.2576 [1 per cell]
O 0.1204 0.0514 0.6995 [1 per cell]
O 0.1201 0.7347 0.7070 [1 per cell]
O 0.1262 0.2810 0.9587 [1 per cell]
O 0.1299 0.5135 0.9596 [1 per cell]
O 0.2211 0.8897 0.5954 [1 per cell]
O 0.2397 0.3966 0.1235 [1 per cell]
O 0.2705 0.4001 0.3324 [1 per cell]
O 0.2918 0.6867 0.5858 [1 per cell]
O 0.2941 0.0931 0.5780 [1 per cell]
O 0.3149 0.2706 0.6992 [1 per cell]
O 0.3173 0.3934 0.9013 [1 per cell]
O 0.3182 0.5134 0.7057 [1 per cell]
O 0.3357 0.2795 0.4897 [1 per cell]
O 0.3534 0.4984 0.5000 [1 per cell]
O 0.4840 0.3822 0.3739 [1 per cell]
O 0.4955 0.1791 0.6030 [1 per cell]
O 0.4955 0.6141 0.6183 [1 per cell]
O 0.4993 0.3854 0.7723 [1 per cell]
O 0.6399 0.5110 0.4926 [1 per cell]
O 0.6526 0.2685 0.4838 [1 per cell]
O 0.6786 0.5131 0.7000 [1 per cell]
O 0.6816 0.2713 0.6931 [1 per cell]
O 0.6882 0.3949 0.8915 [1 per cell]
O 0.6941 0.0859 0.5868 [1 per cell]
O 0.6978 0.6932 0.5926 [1 per cell]
O 0.7133 0.4057 0.3159 [1 per cell]
O 0.7507 0.3965 0.1095 [1 per cell]
O 0.7802 0.8892 0.5887 [1 per cell]
O 0.8761 0.2794 0.9544 [1 per cell]
O 0.8770 0.5107 0.9582 [1 per cell]
O 0.8785 0.2854 0.2497 [1 per cell]
O 0.8799 0.0462 0.4846 [1 per cell]
O 0.8802 0.7288 0.4866 [1 per cell]
O 0.8817 0.0492 0.6965 [1 per cell]
O 0.8839 0.5075 0.2470 [1 per cell]
O 0.8850 0.7358 0.7014 [1 per cell]
O 0.9853 0.8858 0.3820 [1 per cell]
O 0.9931 0.0940 0.3168 [1 per cell]
O 0.9937 0.6800 0.3174 [1 per cell]
O 0.9987 0.1438 0.0969 [1 per cell]

Results
Electronic total energy   -577.6 eV/f.u.
Energy relative to the elements   -2.951 eV per atom